# 1
IrPtBr4N5Cl | the Materials Project | PBE | optimized geometry; energy with MP2020 corrections = -4.2825 eV/atom; size of the total moment = 0.08 μB/atom; ΔE_f = 1.133 eV/atom
1.0
17.522 0.000 0.000
0.000 8.497 0.000
0.000 0.000 7.914
Ir Pt Br N Cl
4 4 16 20 4
Cartesian
2.012 2.124 1.187
6.749 6.373 5.144
10.773 2.124 2.770
15.510 6.373 6.727
3.804 2.124 4.437
4.957 6.373 0.480
12.565 2.124 7.434
13.719 6.373 3.477
0.148 2.124 3.459
3.218 6.373 2.252
3.388 4.429 5.104
3.388 8.317 5.104
5.374 0.180 1.147
5.374 4.068 1.147
5.543 2.124 6.209
8.613 6.373 7.416
8.910 2.124 0.498
11.980 6.373 1.705
12.149 4.429 6.767
12.149 8.317 6.767
14.135 0.180 2.810
14.135 4.068 2.810
14.304 2.124 5.662
17.374 6.373 4.455
0.861 0.770 2.598
0.861 3.478 2.598
2.648 0.662 0.441
2.648 3.587 0.441
3.293 2.124 2.718
5.468 6.373 6.675
6.113 4.910 4.398
6.113 7.835 4.398
7.901 5.019 6.555
7.901 7.727 6.555
9.622 0.770 1.359
9.622 3.478 1.359
11.409 0.662 3.516
11.409 3.587 3.516
12.054 2.124 1.239
14.229 6.373 5.196
14.875 4.910 7.473
14.875 7.835 7.473
16.662 5.019 5.316
16.662 7.727 5.316
0.038 2.124 7.848
8.723 6.373 3.891
8.799 2.124 4.023
17.485 6.373 0.066

---

# 2
ReIrBr6N5Cl | the Materials Project | PBE | optimized geometry; energy with MP2020 corrections = -4.2086 eV/atom; size of the total moment = 0.44 μB/atom; ΔE_f = 1.122 eV/atom
1.0
8.379 0.000 0.000
0.100 11.431 0.000
0.246 3.875 15.640
Re Ir Br N Cl
4 4 24 20 4
Cartesian
2.092 3.794 2.211
2.244 5.910 9.962
6.480 9.397 5.679
6.633 11.512 13.429
2.362 9.336 2.105
2.496 11.353 9.679
6.229 3.954 5.961
6.363 5.970 13.535
0.398 4.323 9.987
0.685 11.330 13.298
0.612 7.775 9.843
1.910 2.046 0.555
2.144 6.011 12.452
2.085 2.152 4.041
2.128 5.571 0.427
2.253 5.638 3.874
2.341 5.806 7.530
3.933 4.158 10.120
4.026 7.625 9.999
4.196 11.616 13.491
4.528 3.690 2.149
4.699 7.681 5.641
4.792 11.149 5.520
6.383 9.500 8.110
6.471 9.669 11.767
6.597 9.735 15.213
6.639 13.155 11.599
6.581 9.295 3.189
6.815 13.260 15.085
8.112 7.532 5.797
8.040 3.976 2.342
8.326 10.984 5.653
0.421 11.786 9.324
0.658 10.540 2.151
1.186 8.039 1.416
2.147 10.403 7.968
2.277 10.052 10.818
2.304 12.916 10.681
2.499 9.034 3.799
3.216 11.132 1.939
3.943 8.631 1.288
4.318 11.416 9.284
4.406 3.891 6.356
4.781 6.675 14.353
5.509 4.174 13.701
6.226 6.272 11.841
6.421 2.390 4.959
6.447 5.254 4.822
6.578 4.903 7.672
7.538 7.267 14.224
8.067 4.767 13.490
8.303 3.520 6.316
2.232 13.883 15.224
2.476 13.201 7.849
6.249 2.105 7.791
6.493 1.424 0.416

---

# 3
IrRhBr6N5Cl | the Materials Project | PBE | optimized geometry; energy with MP2020 corrections = -3.8382 eV/atom; size of the total moment = 0.01 μB/atom; ΔE_f = 1.130 eV/atom
1.0
11.860 0.000 0.000
0.000 7.565 0.000
-5.263 0.000 16.741
Ir Rh Br N Cl
4 4 24 20 4
Cartesian
1.626 1.891 2.760
-0.456 1.891 11.099
7.054 5.674 5.642
4.971 5.674 13.981
-1.781 5.674 14.707
2.027 5.674 5.762
4.571 1.891 10.979
8.379 1.891 2.034
-0.283 0.341 2.157
-0.283 3.441 2.157
-2.662 1.891 12.227
-1.510 1.891 8.756
2.284 1.891 0.338
-0.836 4.244 10.570
-0.836 7.103 10.570
0.978 1.891 5.231
3.327 0.160 3.123
3.327 3.622 3.123
0.620 1.891 13.313
1.819 1.891 9.934
4.778 5.674 6.807
5.977 5.674 3.429
3.270 3.943 13.618
3.270 7.405 13.618
5.619 5.674 11.510
7.433 0.462 6.172
7.433 3.321 6.172
4.314 5.674 16.403
8.107 5.674 7.985
9.259 5.674 4.514
6.880 4.124 14.584
6.880 7.224 14.584
-3.773 5.674 14.270
0.698 4.141 6.013
0.698 7.206 6.013
-1.222 4.203 13.974
-1.222 7.144 13.974
1.917 5.674 4.032
-0.208 5.674 11.699
-1.117 5.674 16.557
3.596 4.359 6.088
3.596 6.988 6.088
3.001 0.577 10.653
3.001 3.206 10.653
7.714 1.891 0.184
6.806 1.891 5.042
4.681 1.891 12.709
7.820 0.421 2.767
7.820 3.362 2.767
5.900 0.359 10.728
5.900 3.424 10.728
10.370 1.891 2.471
1.660 5.674 8.270
5.771 5.674 0.062
0.827 1.891 16.679
4.937 1.891 8.471

---

# 4
K5BrCl4 | the Materials Project | PBE | optimized geometry; energy with MP2020 corrections = -3.6143 eV/atom; size of the total moment = 0.00 μB/atom; ΔE_f = -2.156 eV/atom
1.0
2.283 1.318 18.667
-2.283 1.318 18.667
0.000 -2.636 18.667
K Br Cl
5 1 4
Cartesian
0.000 0.000 0.000
0.000 0.000 11.299
0.000 0.000 22.396
0.000 0.000 33.606
0.000 0.000 44.702
0.000 0.000 28.001
0.000 0.000 5.571
0.000 0.000 16.800
0.000 0.000 39.201
0.000 0.000 50.430

---

# 5
K2BrCl | the Materials Project | PBE | optimized geometry; energy with MP2020 corrections = -3.4331 eV/atom; ΔE_f = -2.007 eV/atom
1.0
2.311 1.334 7.560
-2.311 1.334 7.560
0.000 -2.668 7.560
K Br Cl
2 1 1
Cartesian
0.000 0.000 5.587
0.000 0.000 17.092
0.000 0.000 0.000
0.000 0.000 11.339

---

# 6
K5Br4Cl | the Materials Project | PBE | optimized geometry; energy with MP2020 corrections = -3.2520 eV/atom; ΔE_f = -1.857 eV/atom
1.0
-5.246 5.246 3.325
5.246 -5.246 3.325
5.246 5.246 -3.325
K Br Cl
5 4 1
Cartesian
0.000 0.000 0.000
6.280 2.140 0.000
2.140 4.212 0.000
3.106 1.034 3.325
-1.034 3.106 3.325
3.147 1.047 0.000
4.199 -2.099 3.325
1.047 7.345 0.000
2.099 4.199 3.325
0.000 0.000 3.325